Material: Na4Fe2AsC4O16
Method: DFT, PBE+U
State: relaxed

CIF file:
```
data_Na4Fe2AsC4O16
_cell_length_a 10.0487
_cell_length_b 10.0136
_cell_length_c 9.8408
_cell_angle_alpha 60.80
_cell_angle_beta 60.45
_cell_angle_gamma 58.75
_symmetry_space_group_name_H-M 'P 1'
_symmetry_Int_Tables_number 1
loop_
_symmetry_equiv_pos_as_xyz
'x,y,z'
loop_
_atom_site_label
_atom_site_fract_x
_atom_site_fract_y
_atom_site_fract_z
Na1 0.0890 0.6610 0.0890
Na2 0.0890 0.6610 0.6610
Na3 0.3390 0.9110 0.3390
Na4 0.3390 0.9110 0.9110
Na5 0.6610 0.0890 0.0890
Na6 0.6610 0.0890 0.6610
Na7 0.9110 0.3390 0.3390
Na8 0.9110 0.3390 0.9110
Fe1 0.0000 0.5000 0.5000
Fe2 0.5000 0.0000 0.5000
Fe3 0.5000 0.5000 0.0000
Fe4 0.5000 0.5000 0.5000
As1 0.1250 0.1250 0.1250
As2 0.8750 0.8750 0.8750
C1 0.2800 0.6393 0.2924
C2 0.2884 0.2924 0.6393
C3 0.2924 0.2884 0.2800
C4 0.3607 0.7200 0.7116
C5 0.6393 0.2800 0.2884
C6 0.7076 0.7116 0.7200
C7 0.7116 0.7076 0.3607
C8 0.7200 0.3607 0.7076
O1 0.0410 0.3366 0.0609
O2 0.0609 0.0615 0.0410
O3 0.0615 0.0609 0.3366
O4 0.1412 0.6345 0.4056
O5 0.1440 0.3226 0.6444
O6 0.1457 0.4016 0.3085
O7 0.3085 0.6442 0.1457
O8 0.3187 0.4056 0.6345
O9 0.3226 0.1440 0.3891
O10 0.3366 0.0410 0.0615
O11 0.3556 0.6109 0.8560
O12 0.3558 0.6915 0.5984
O13 0.3655 0.8588 0.6813
O14 0.3891 0.6444 0.3226
O15 0.4016 0.1457 0.6442
O16 0.4056 0.3187 0.1412
O17 0.5944 0.6813 0.8588
O18 0.5984 0.8543 0.3558
O19 0.6109 0.3556 0.6774
O20 0.6345 0.1412 0.3187
O21 0.6442 0.3085 0.4016
O22 0.6444 0.3891 0.1440
O23 0.6634 0.9590 0.9385
O24 0.6774 0.8560 0.6109
O25 0.6813 0.5944 0.3655
O26 0.6915 0.3558 0.8543
O27 0.8543 0.5984 0.6915
O28 0.8560 0.6774 0.3556
O29 0.8588 0.3655 0.5944
O30 0.9385 0.9391 0.6634
O31 0.9391 0.9385 0.9590
O32 0.9590 0.6634 0.9391
```

Calculated values
The mass density is 2765 kg/m3. As for the symmetry: No. 70. The raw total energy is -6.518 eV/atom. The formation enthalpy at 0 K comes out at -173 kJ per mole of atoms. The crystal system is orthorhombic. The value obtained for the total moment is 18.00 μB/cell.